No. 1
# Li2Sn4P4O15 | the Materials Project database | PBE | optimized geometry
# calculated formation energy = -2329 meV per atom
# total DFT energy (no corrections) = -6.55 eV/atom
data_Li2Sn4P4O15
_cell_length_a 10.3186
_cell_length_b 15.6186
_cell_length_c 20.3402
_cell_angle_alpha 90.00
_cell_angle_beta 95.70
_cell_angle_gamma 90.00
_space_group_name_H-M_alt 'C 1 2/c 1'
_space_group_IT_number 15
loop_
_space_group_symop_operation_xyz
'x,y,z'
'-x,-y,-z'
'-x,y,-z+1/2'
'x,-y,z+1/2'
'x+1/2,y+1/2,z'
'-x+1/2,-y+1/2,-z'
'-x+1/2,y+1/2,-z+1/2'
'x+1/2,-y+1/2,z+1/2'
loop_
_atom_site_label
_atom_site_type_symbol
_atom_site_fract_x
_atom_site_fract_y
_atom_site_fract_z
_atom_site_occupancy
Li1 Li 0.0081 0.0504 0.4024 1
Li2 Li 0.2443 0.2844 0.2606 1
Sn1 Sn 0.0000 0.0210 0.7500 1
Sn2 Sn 0.0000 0.3061 0.7500 1
Sn3 Sn 0.0000 0.4752 0.2500 1
Sn4 Sn 0.1229 0.4730 0.0657 1
Sn5 Sn 0.1309 0.2960 0.5634 1
Sn6 Sn 0.2500 0.2500 0.0000 1
P1 P 0.1164 0.1538 0.8722 1
P2 P 0.1688 0.3806 0.3874 1
P3 P 0.1923 0.4312 0.8959 1
P4 P 0.2352 0.0994 0.3219 1
O1 O 0.0264 0.3888 0.4033 1
O2 O 0.0467 0.0667 0.8700 1
O3 O 0.0477 0.2209 0.9142 1
O4 O 0.0858 0.4149 0.9428 1
O5 O 0.1260 0.1906 0.8011 1
O6 O 0.1347 0.0896 0.2617 1
O7 O 0.1357 0.4265 0.8228 1
O8 O 0.1610 0.4747 0.6748 1
O9 O 0.1728 0.1039 0.3879 1
O10 O 0.1775 0.3660 0.3141 1
O11 O 0.1831 0.1202 0.0848 1
O12 O 0.1878 0.3123 0.6824 1
O13 O 0.2413 0.3136 0.4330 1
O14 O 0.2420 0.3534 0.0916 1
O15 O 0.2429 0.4692 0.4093 1

No. 2
# LiSnP2O7 | the Materials Project database | PBE | optimized geometry
# excess energy over the best structure of this formula in the dataset = 31 meV/atom
# calculated formation energy = -2472 meV per atom
# total DFT energy (no corrections) = -6.71 eV/atom
data_LiSnP2O7
_cell_length_a 5.0690
_cell_length_b 8.9509
_cell_length_c 7.1952
_cell_angle_alpha 90.00
_cell_angle_beta 109.13
_cell_angle_gamma 90.00
_space_group_name_H-M_alt 'P 1 21 1'
_space_group_IT_number 4
loop_
_space_group_symop_operation_xyz
'x,y,z'
'-x,y+1/2,-z'
loop_
_atom_site_label
_atom_site_type_symbol
_atom_site_fract_x
_atom_site_fract_y
_atom_site_fract_z
_atom_site_occupancy
Li1 Li 0.2021 0.0000 0.1621 1
Sn1 Sn 0.2142 0.3534 0.2337 1
P1 P 0.2112 0.0619 0.5768 1
P2 P 0.3961 0.6693 0.0356 1
O1 O 0.0503 0.5358 0.3674 1
O2 O 0.1473 0.1403 0.3762 1
O3 O 0.2170 0.5260 0.0074 1
O4 O 0.2223 0.8136 0.0073 1
O5 O 0.3749 0.9174 0.5730 1
O6 O 0.4121 0.1634 0.0907 1
O7 O 0.4120 0.1777 0.7342 1

No. 3
# LiSnPO4 | the Materials Project database | PBE | optimized geometry
# calculated formation energy = -2396 meV per atom
# total DFT energy (no corrections) = -6.45 eV/atom
data_LiSnPO4
_cell_length_a 9.4567
_cell_length_b 7.0760
_cell_length_c 18.9743
_cell_angle_alpha 90.00
_cell_angle_beta 119.78
_cell_angle_gamma 90.00
_space_group_name_H-M_alt 'P 1 21/c 1'
_space_group_IT_number 14
loop_
_space_group_symop_operation_xyz
'x,y,z'
'-x,-y,-z'
'-x,y+1/2,-z+1/2'
'x,-y+1/2,z+1/2'
loop_
_atom_site_label
_atom_site_type_symbol
_atom_site_fract_x
_atom_site_fract_y
_atom_site_fract_z
_atom_site_occupancy
Li1 Li 0.0164 0.0135 0.2679 1
Li2 Li 0.3296 0.5269 0.5887 1
Li3 Li 0.3397 0.5165 0.0798 1
Sn1 Sn 0.0628 0.2475 0.0987 1
Sn2 Sn 0.3053 0.2415 0.9346 1
Sn3 Sn 0.3666 0.7382 0.2804 1
P1 P 0.0378 0.7374 0.0893 1
P2 P 0.3205 0.7464 0.9277 1
P3 P 0.3558 0.2361 0.2691 1
O1 O 0.0075 0.2030 0.3432 1
O2 O 0.1347 0.5776 0.6012 1
O3 O 0.1361 0.2453 0.9914 1
O4 O 0.1403 0.5736 0.0845 1
O5 O 0.1739 0.2440 0.2479 1
O6 O 0.1834 0.7466 0.8367 1
O7 O 0.3094 0.5844 0.4765 1
O8 O 0.3193 0.5644 0.9726 1
O9 O 0.3440 0.2364 0.1818 1
O10 O 0.4436 0.0558 0.3174 1
O11 O 0.4565 0.0927 0.8192 1
O12 O 0.4844 0.7416 0.4225 1

No. 4
# Li4SnP2O8 | the Materials Project database | PBE | optimized geometry
# calculated formation energy = -2566 meV per atom
# total DFT energy (no corrections) = -6.34 eV/atom
data_Li4SnP2O8
_cell_length_a 9.0188
_cell_length_b 10.4290
_cell_length_c 8.2783
_cell_angle_alpha 90.00
_cell_angle_beta 100.08
_cell_angle_gamma 90.00
_space_group_name_H-M_alt 'P 1 21/c 1'
_space_group_IT_number 14
loop_
_space_group_symop_operation_xyz
'x,y,z'
'-x,-y,-z'
'-x,y+1/2,-z+1/2'
'x,-y+1/2,z+1/2'
loop_
_atom_site_label
_atom_site_type_symbol
_atom_site_fract_x
_atom_site_fract_y
_atom_site_fract_z
_atom_site_occupancy
Li1 Li 0.0210 0.0777 0.2693 1
Li2 Li 0.0986 0.1592 0.6044 1
Li3 Li 0.1437 0.6639 0.6465 1
Li4 Li 0.3281 0.1543 0.3416 1
Sn1 Sn 0.4135 0.6468 0.4059 1
P1 P 0.1793 0.0966 0.9532 1
P2 P 0.2513 0.5929 0.0146 1
O1 O 0.0413 0.0951 0.8107 1
O2 O 0.1206 0.6517 0.0897 1
O3 O 0.1405 0.1555 0.1138 1
O4 O 0.2128 0.0471 0.4643 1
O5 O 0.2249 0.5488 0.4913 1
O6 O 0.2761 0.6734 0.8605 1
O7 O 0.3078 0.1701 0.8953 1
O8 O 0.4051 0.6052 0.1402 1

No. 5
# LiSnP2O7 | the Materials Project database | PBE | optimized geometry
# excess energy over the best structure of this formula in the dataset = 47 meV/atom
# calculated formation energy = -2457 meV per atom
# total DFT energy (no corrections) = -6.69 eV/atom
data_LiSnP2O7
_cell_length_a 6.6630
_cell_length_b 6.7366
_cell_length_c 6.8212
_cell_angle_alpha 66.62
_cell_angle_beta 80.89
_cell_angle_gamma 81.40
_space_group_name_H-M_alt 'P -1'
_space_group_IT_number 2
loop_
_space_group_symop_operation_xyz
'x,y,z'
'-x,-y,-z'
loop_
_atom_site_label
_atom_site_type_symbol
_atom_site_fract_x
_atom_site_fract_y
_atom_site_fract_z
_atom_site_occupancy
Li1 Li 0.1186 0.1606 0.3566 1
Sn1 Sn 0.3251 0.3872 0.7523 1
P1 P 0.1527 0.7252 0.2655 1
P2 P 0.3921 0.8513 0.8236 1
O1 O 0.0123 0.5834 0.2291 1
O2 O 0.0504 0.8782 0.3696 1
O3 O 0.2589 0.8775 0.0366 1
O4 O 0.2751 0.7122 0.7580 1
O5 O 0.3348 0.5688 0.3863 1
O6 O 0.3924 0.2525 0.1119 1
O7 O 0.3943 0.0874 0.6641 1

No. 6
# LiSn2P5O16 | the Materials Project database | PBE | optimized geometry
# excess energy over the best structure of this formula in the dataset = 12 meV/atom
# calculated formation energy = -2435 meV per atom
# total DFT energy (no corrections) = -6.82 eV/atom
data_LiSn2P5O16
_cell_length_a 7.3698
_cell_length_b 10.3473
_cell_length_c 10.6632
_cell_angle_alpha 90.00
_cell_angle_beta 109.94
_cell_angle_gamma 90.00
_space_group_name_H-M_alt 'P 1 c 1'
_space_group_IT_number 7
loop_
_space_group_symop_operation_xyz
'x,y,z'
'x,-y,z+1/2'
loop_
_atom_site_label
_atom_site_type_symbol
_atom_site_fract_x
_atom_site_fract_y
_atom_site_fract_z
_atom_site_occupancy
Li1 Li 0.0000 0.1908 0.0000 1
Sn1 Sn 0.3914 0.1277 0.8071 1
Sn2 Sn 0.9556 0.3703 0.4422 1
P1 P 0.1375 0.4130 0.7730 1
P2 P 0.2754 0.1286 0.4709 1
P3 P 0.5457 0.4675 0.8051 1
P4 P 0.5979 0.2883 0.1866 1
P5 P 0.6578 0.1421 0.4370 1
O1 O 0.0232 0.4723 0.8545 1
O2 O 0.0691 0.4582 0.6259 1
O3 O 0.1394 0.2678 0.7936 1
O4 O 0.1985 0.2702 0.4529 1
O5 O 0.2122 0.0502 0.3428 1
O6 O 0.2500 0.0595 0.5897 1
O7 O 0.3494 0.4774 0.8387 1
O8 O 0.5044 0.4302 0.1823 1
O9 O 0.5108 0.1536 0.5154 1
O10 O 0.5112 0.2288 0.0530 1
O11 O 0.5332 0.2132 0.2977 1
O12 O 0.5773 0.3346 0.7642 1
O13 O 0.6987 0.4704 0.4253 1
O14 O 0.7069 0.0057 0.4142 1
O15 O 0.8189 0.2995 0.2451 1
O16 O 0.8326 0.2243 0.5146 1

No. 7
# Li3Sn2P3O12 | the Materials Project database | PBE | optimized geometry
# excess energy over the best structure of this formula in the dataset = 57 meV/atom
# calculated formation energy = -2462 meV per atom
# total DFT energy (no corrections) = -6.52 eV/atom
data_Li3Sn2P3O12
_cell_length_a 8.4598
_cell_length_b 5.5331
_cell_length_c 20.4242
_cell_angle_alpha 90.00
_cell_angle_beta 90.22
_cell_angle_gamma 90.00
_space_group_name_H-M_alt 'C 1 2/m 1'
_space_group_IT_number 12
loop_
_space_group_symop_operation_xyz
'x,y,z'
'-x,-y,-z'
'-x,y,-z'
'x,-y,z'
'x+1/2,y+1/2,z'
'-x+1/2,-y+1/2,-z'
'-x+1/2,y+1/2,-z'
'x+1/2,-y+1/2,z'
loop_
_atom_site_label
_atom_site_type_symbol
_atom_site_fract_x
_atom_site_fract_y
_atom_site_fract_z
_atom_site_occupancy
Li1 Li 0.0065 0.0000 0.1495 1
Li2 Li 0.1643 0.5000 0.0876 1
Li3 Li 0.1672 0.5000 0.7743 1
Sn1 Sn 0.0000 0.0000 0.0000 1
Sn2 Sn 0.0000 0.0000 0.5000 1
Sn3 Sn 0.0011 0.0000 0.3200 1
P1 P 0.1410 0.5000 0.9142 1
P2 P 0.1424 0.5000 0.6035 1
P3 P 0.1529 0.5000 0.2448 1
O1 O 0.0285 0.2763 0.9073 1
O2 O 0.0324 0.2675 0.6066 1
O3 O 0.0340 0.2755 0.2495 1
O4 O 0.2176 0.5000 0.9830 1
O5 O 0.2289 0.5000 0.5387 1
O6 O 0.2395 0.0000 0.1423 1
O7 O 0.2405 0.0000 0.6929 1
O8 O 0.2468 0.5000 0.1831 1
O9 O 0.2488 0.0000 0.3340 1